# K3S2O8

K3S2O8 after structural relaxation (GGA-PBE, the Materials Project database).

Cell lengths 7.9645, 7.9645, 9.8523 Å; angles 102.30, 102.30, 42.52 degrees
Element x y z (fractional)
1 K 0.0832 0.5350 0.3493
2 K 0.2437 0.7563 0.7500
3 K 0.4650 0.9168 0.1507
4 K 0.5350 0.0832 0.8493
5 K 0.7563 0.2437 0.2500
6 K 0.9168 0.4650 0.6507
7 S 0.1021 0.6701 0.0367
8 S 0.3299 0.8979 0.4633
9 S 0.6701 0.1021 0.5367
10 S 0.8979 0.3299 0.9633
11 O 0.0746 0.6185 0.8846
12 O 0.1353 0.1685 0.8997
13 O 0.1685 0.1353 0.3997
14 O 0.1822 0.7984 0.0625
15 O 0.2016 0.8178 0.4375
16 O 0.3074 0.4331 0.1059
17 O 0.3815 0.9254 0.6154
18 O 0.4331 0.3074 0.6059
19 O 0.5669 0.6926 0.3941
20 O 0.6185 0.0746 0.3846
21 O 0.6926 0.5669 0.8941
22 O 0.7984 0.1822 0.5625
23 O 0.8178 0.2016 0.9375
24 O 0.8315 0.8647 0.6003
25 O 0.8647 0.8315 0.1003
26 O 0.9254 0.3815 0.1154

Calculated values
E_form: -2.1110 eV/atom
Calculated volume: 411.2 Å³/cell
E: -146.3 eV per cell
Energy with MP2020 corrections: -157.26 eV for the cell shown
SG: C2/c